[1]
{
  "formula": "Na5Ta3AlSi5PO24",
  "functional": "PBE",
  "state": "optimized geometry",
  "lattice": [[8.941, -0.004, 0.008], [-4.474, 7.717, 0.005], [0.021, 0.025, 22.441]],
  "species": ["Na", "Na", "Na", "Na", "Na", "Na", "Na", "Na", "Na", "Na", "Na", "Na", "Na", "Na", "Na", "Ta", "Ta", "Ta", "Ta", "Ta", "Ta", "Ta", "Ta", "Ta", "Al", "Al", "Al", "Si", "Si", "Si", "Si", "Si", "Si", "Si", "Si", "Si", "Si", "Si", "Si", "Si", "Si", "Si", "P", "P", "P", "O", "O", "O", "O", "O", "O", "O", "O", "O", "O", "O", "O", "O", "O", "O", "O", "O", "O", "O", "O", "O", "O", "O", "O", "O", "O", "O", "O", "O", "O", "O", "O", "O", "O", "O", "O", "O", "O", "O", "O", "O", "O", "O", "O", "O", "O", "O", "O", "O", "O", "O", "O", "O", "O", "O", "O", "O", "O", "O", "O", "O", "O", "O", "O", "O", "O", "O", "O", "O", "O", "O", "O"],
  "frac_coords": [[0.994, 0.631, 0.246], [0.636, 0.628, 0.747], [0.992, 0.364, 0.747], [0.371, 0.007, 0.748], [0.309, 0.971, 0.084], [0.667, 0.695, 0.084], [0.969, 0.295, 0.414], [0.326, 0.031, 0.413], [0.704, 0.673, 0.415], [0.999, 0.000, 0.500], [0.000, 0.006, 0.997], [0.666, 0.334, 0.834], [0.656, 0.324, 0.326], [0.334, 0.662, 0.166], [0.333, 0.665, 0.665], [0.000, 0.000, 0.855], [0.997, 0.000, 0.644], [0.003, 0.004, 0.146], [0.667, 0.332, 0.978], [0.670, 0.336, 0.482], [0.329, 0.662, 0.021], [0.333, 0.663, 0.523], [0.337, 0.671, 0.311], [0.333, 0.666, 0.814], [0.006, 0.003, 0.352], [0.671, 0.339, 0.687], [0.654, 0.322, 0.183], [0.298, 0.015, 0.252], [0.295, 0.289, 0.748], [0.996, 0.706, 0.749], [0.710, 0.006, 0.749], [0.952, 0.334, 0.587], [0.667, 0.619, 0.587], [0.948, 0.610, 0.088], [0.670, 0.052, 0.086], [0.385, 0.336, 0.086], [0.624, 0.666, 0.917], [0.040, 0.374, 0.917], [0.334, 0.959, 0.917], [0.629, 0.956, 0.416], [0.328, 0.372, 0.415], [0.045, 0.672, 0.416], [0.714, 0.711, 0.252], [0.994, 0.284, 0.253], [0.381, 0.047, 0.586], [0.197, 0.026, 0.310], [0.827, 0.801, 0.307], [0.973, 0.174, 0.308], [0.200, 0.163, 0.806], [0.964, 0.801, 0.806], [0.837, 0.037, 0.806], [0.801, 0.962, 0.693], [0.162, 0.199, 0.692], [0.039, 0.840, 0.692], [0.796, 0.825, 0.195], [0.025, 0.196, 0.197], [0.166, 0.968, 0.193], [0.861, 0.361, 0.644], [0.492, 0.131, 0.641], [0.636, 0.500, 0.644], [0.861, 0.499, 0.147], [0.627, 0.135, 0.142], [0.508, 0.374, 0.142], [0.464, 0.294, 0.027], [0.827, 0.532, 0.028], [0.700, 0.167, 0.026], [0.466, 0.158, 0.528], [0.692, 0.530, 0.525], [0.836, 0.304, 0.525], [0.532, 0.696, 0.976], [0.167, 0.471, 0.974], [0.305, 0.838, 0.976], [0.533, 0.830, 0.473], [0.298, 0.468, 0.473], [0.172, 0.704, 0.472], [0.131, 0.628, 0.358], [0.495, 0.864, 0.359], [0.371, 0.506, 0.359], [0.133, 0.495, 0.857], [0.362, 0.866, 0.858], [0.504, 0.638, 0.858], [0.019, 0.838, 0.408], [0.818, 0.978, 0.406], [0.157, 0.183, 0.408], [0.026, 0.187, 0.910], [0.161, 0.974, 0.910], [0.812, 0.839, 0.910], [0.978, 0.164, 0.590], [0.199, 0.028, 0.589], [0.841, 0.812, 0.590], [0.973, 0.810, 0.093], [0.834, 0.017, 0.092], [0.189, 0.161, 0.093], [0.687, 0.173, 0.741], [0.484, 0.308, 0.741], [0.826, 0.516, 0.743], [0.699, 0.533, 0.245], [0.842, 0.314, 0.245], [0.489, 0.180, 0.242], [0.641, 0.495, 0.923], [0.854, 0.360, 0.923], [0.506, 0.147, 0.923], [0.640, 0.145, 0.423], [0.502, 0.355, 0.424], [0.854, 0.495, 0.423], [0.362, 0.507, 0.077], [0.148, 0.650, 0.078], [0.498, 0.855, 0.077], [0.361, 0.865, 0.576], [0.497, 0.644, 0.576], [0.145, 0.507, 0.576], [0.303, 0.827, 0.257], [0.530, 0.693, 0.257], [0.164, 0.470, 0.257], [0.310, 0.480, 0.756], [0.172, 0.691, 0.756], [0.520, 0.828, 0.756]],
  "crystal_system": "triclinic",
  "total_magnetization_mub_per_cell": 0.00
}

=====

[2]
{
  "formula": "Na8TaAl3Si4P2O24",
  "functional": "PBE",
  "state": "optimized geometry",
  "lattice": [[8.859, 0.004, 0.003], [-4.426, 7.687, 0.026], [0.009, 0.081, 21.594]],
  "species": ["Na", "Na", "Na", "Na", "Na", "Na", "Na", "Na", "Na", "Na", "Na", "Na", "Na", "Na", "Na", "Na", "Na", "Na", "Na", "Na", "Na", "Na", "Na", "Na", "Ta", "Ta", "Ta", "Al", "Al", "Al", "Al", "Al", "Al", "Al", "Al", "Al", "Si", "Si", "Si", "Si", "Si", "Si", "Si", "Si", "Si", "Si", "Si", "Si", "P", "P", "P", "P", "P", "P", "O", "O", "O", "O", "O", "O", "O", "O", "O", "O", "O", "O", "O", "O", "O", "O", "O", "O", "O", "O", "O", "O", "O", "O", "O", "O", "O", "O", "O", "O", "O", "O", "O", "O", "O", "O", "O", "O", "O", "O", "O", "O", "O", "O", "O", "O", "O", "O", "O", "O", "O", "O", "O", "O", "O", "O", "O", "O", "O", "O", "O", "O", "O", "O", "O", "O", "O", "O", "O", "O", "O", "O"],
  "frac_coords": [[0.629, 0.997, 0.255], [0.370, 0.372, 0.253], [0.003, 0.629, 0.253], [0.636, 0.632, 0.739], [0.993, 0.358, 0.742], [0.372, 0.010, 0.746], [0.297, 0.337, 0.584], [0.037, 0.701, 0.582], [0.669, 0.961, 0.581], [0.293, 0.961, 0.082], [0.664, 0.701, 0.085], [0.041, 0.340, 0.085], [0.971, 0.675, 0.913], [0.707, 0.031, 0.910], [0.323, 0.291, 0.911], [0.974, 0.297, 0.415], [0.326, 0.028, 0.415], [0.699, 0.675, 0.415], [0.997, 0.000, 0.499], [0.003, 0.000, 0.000], [0.663, 0.328, 0.827], [0.665, 0.332, 0.330], [0.331, 0.664, 0.167], [0.335, 0.664, 0.659], [0.664, 0.336, 0.981], [0.672, 0.337, 0.478], [0.334, 0.665, 0.810], [0.999, 0.000, 0.355], [0.002, 0.006, 0.854], [0.993, 0.003, 0.645], [0.004, 0.000, 0.147], [0.664, 0.332, 0.686], [0.669, 0.338, 0.185], [0.327, 0.660, 0.021], [0.332, 0.658, 0.517], [0.336, 0.668, 0.318], [0.286, 0.278, 0.748], [0.719, 0.007, 0.749], [0.963, 0.335, 0.587], [0.668, 0.629, 0.587], [0.963, 0.630, 0.089], [0.371, 0.335, 0.089], [0.625, 0.675, 0.920], [0.046, 0.373, 0.920], [0.327, 0.951, 0.920], [0.618, 0.946, 0.415], [0.326, 0.378, 0.414], [0.056, 0.674, 0.415], [0.290, 0.001, 0.249], [0.715, 0.714, 0.249], [0.997, 0.284, 0.249], [0.997, 0.718, 0.750], [0.375, 0.042, 0.587], [0.667, 0.043, 0.089], [0.203, 0.029, 0.307], [0.827, 0.801, 0.307], [0.972, 0.171, 0.307], [0.201, 0.167, 0.812], [0.977, 0.803, 0.809], [0.832, 0.031, 0.811], [0.797, 0.960, 0.689], [0.163, 0.193, 0.689], [0.029, 0.831, 0.692], [0.803, 0.828, 0.191], [0.020, 0.195, 0.191], [0.176, 0.975, 0.191], [0.864, 0.366, 0.645], [0.491, 0.131, 0.643], [0.634, 0.500, 0.646], [0.869, 0.497, 0.146], [0.639, 0.135, 0.144], [0.501, 0.366, 0.146], [0.461, 0.296, 0.027], [0.835, 0.533, 0.027], [0.697, 0.159, 0.029], [0.463, 0.158, 0.528], [0.694, 0.531, 0.525], [0.835, 0.303, 0.526], [0.533, 0.704, 0.980], [0.166, 0.465, 0.979], [0.303, 0.831, 0.980], [0.531, 0.828, 0.476], [0.294, 0.460, 0.476], [0.172, 0.705, 0.476], [0.133, 0.628, 0.354], [0.498, 0.869, 0.354], [0.372, 0.502, 0.353], [0.129, 0.498, 0.858], [0.365, 0.865, 0.858], [0.499, 0.633, 0.858], [0.023, 0.839, 0.407], [0.815, 0.976, 0.408], [0.160, 0.182, 0.407], [0.022, 0.181, 0.913], [0.159, 0.974, 0.912], [0.819, 0.838, 0.911], [0.978, 0.160, 0.588], [0.194, 0.025, 0.590], [0.848, 0.816, 0.589], [0.973, 0.819, 0.091], [0.832, 0.027, 0.092], [0.178, 0.161, 0.092], [0.690, 0.175, 0.744], [0.484, 0.311, 0.744], [0.838, 0.533, 0.747], [0.696, 0.528, 0.246], [0.829, 0.302, 0.246], [0.476, 0.165, 0.245], [0.638, 0.494, 0.922], [0.851, 0.355, 0.923], [0.506, 0.144, 0.922], [0.640, 0.144, 0.421], [0.502, 0.355, 0.421], [0.857, 0.497, 0.420], [0.360, 0.512, 0.081], [0.154, 0.649, 0.081], [0.504, 0.864, 0.083], [0.361, 0.863, 0.581], [0.495, 0.647, 0.579], [0.151, 0.512, 0.579], [0.308, 0.834, 0.252], [0.529, 0.694, 0.252], [0.162, 0.469, 0.251], [0.305, 0.478, 0.752], [0.164, 0.697, 0.753], [0.517, 0.831, 0.753]],
  "crystal_system": "triclinic",
  "total_magnetization_mub_per_cell": 0.01
}

=====

[3]
{
  "formula": "Na6TaAl3Si2P4O24",
  "functional": "PBE",
  "state": "optimized geometry",
  "lattice": [[12.544, -0.027, -8.393], [-0.007, 8.755, 0.017], [-0.116, 0.018, 8.760]],
  "species": ["Na", "Na", "Na", "Na", "Na", "Na", "Na", "Na", "Na", "Na", "Na", "Na", "Ta", "Ta", "Al", "Al", "Al", "Al", "Al", "Al", "Si", "Si", "Si", "Si", "P", "P", "P", "P", "P", "P", "P", "P", "O", "O", "O", "O", "O", "O", "O", "O", "O", "O", "O", "O", "O", "O", "O", "O", "O", "O", "O", "O", "O", "O", "O", "O", "O", "O", "O", "O", "O", "O", "O", "O", "O", "O", "O", "O", "O", "O", "O", "O", "O", "O", "O", "O", "O", "O", "O", "O"],
  "frac_coords": [[0.251, 0.749, 0.000], [0.746, 0.752, 0.487], [0.751, 0.249, 0.000], [0.246, 0.252, 0.487], [0.495, 0.105, 0.736], [0.505, 0.884, 0.256], [0.995, 0.605, 0.736], [0.005, 0.384, 0.256], [0.192, 0.930, 0.285], [0.806, 0.072, 0.708], [0.692, 0.430, 0.285], [0.306, 0.572, 0.708], [0.895, 0.749, 0.935], [0.395, 0.249, 0.935], [0.106, 0.753, 0.563], [0.895, 0.247, 0.437], [0.103, 0.253, 0.060], [0.606, 0.253, 0.563], [0.395, 0.747, 0.437], [0.603, 0.753, 0.060], [0.354, 0.886, 0.751], [0.653, 0.099, 0.256], [0.854, 0.386, 0.751], [0.153, 0.599, 0.256], [0.008, 0.969, 0.753], [0.999, 0.042, 0.256], [0.508, 0.469, 0.753], [0.499, 0.542, 0.256], [0.638, 0.892, 0.742], [0.356, 0.108, 0.264], [0.138, 0.392, 0.742], [0.856, 0.608, 0.264], [0.146, 0.569, 0.739], [0.848, 0.578, 0.764], [0.853, 0.432, 0.260], [0.150, 0.415, 0.230], [0.646, 0.069, 0.739], [0.348, 0.078, 0.764], [0.353, 0.932, 0.260], [0.650, 0.915, 0.230], [0.437, 0.572, 0.585], [0.575, 0.558, 0.935], [0.564, 0.430, 0.416], [0.427, 0.448, 0.072], [0.937, 0.072, 0.585], [0.075, 0.058, 0.935], [0.064, 0.930, 0.416], [0.927, 0.948, 0.072], [0.250, 0.811, 0.730], [0.741, 0.830, 0.756], [0.750, 0.188, 0.268], [0.254, 0.170, 0.239], [0.750, 0.311, 0.730], [0.241, 0.330, 0.756], [0.250, 0.688, 0.268], [0.754, 0.670, 0.239], [0.360, 0.866, 0.572], [0.640, 0.849, 0.912], [0.640, 0.134, 0.425], [0.359, 0.154, 0.093], [0.860, 0.366, 0.572], [0.140, 0.349, 0.912], [0.140, 0.634, 0.425], [0.859, 0.654, 0.093], [0.462, 0.821, 0.938], [0.540, 0.830, 0.561], [0.540, 0.178, 0.069], [0.457, 0.172, 0.439], [0.962, 0.321, 0.938], [0.040, 0.330, 0.561], [0.040, 0.678, 0.069], [0.957, 0.672, 0.439], [0.077, 0.851, 0.735], [0.921, 0.867, 0.760], [0.925, 0.151, 0.269], [0.082, 0.136, 0.243], [0.577, 0.351, 0.735], [0.421, 0.367, 0.760], [0.425, 0.651, 0.269], [0.582, 0.636, 0.243]],
  "polymorph_energy_ev_per_atom": 0.002,
  "total_magnetization_mub_per_cell": 0.00
}

=====

The records above give, respectively, energy relative to the elements values of -3.0597, -2.9220, -2.9217 eV per atom.